Entry 1:
DFT (PBE-GGA) results for MgZr2 after structural relaxation.

Cell lengths 8.009, 8.009, 8.009 Å; angles 23.32, 23.32, 23.32 degrees
Sites, in units of the cell vectors:
Mg: 0.000 0.000 0.000
Zr: 0.219 0.219 0.219
Zr: 0.781 0.781 0.781

Summary:
ΔE_f, meV/atom: 31
Calculated volume, Å³ per cell: 70.67
Symmetry: R-3m (166)



Entry 2:
DFT (PBE-GGA) results for Mg15Zr after structural relaxation.

Cell lengths 6.438, 6.438, 10.150 Å; angles 90.00, 90.00, 120.00 degrees
Sites, in units of the cell vectors:
Mg: 0.500 0.000 0.000
Mg: 0.671 0.836 0.748
Mg: 0.671 0.836 0.252
Mg: 0.164 0.836 0.252
Mg: 0.500 0.500 0.000
Mg: 0.498 0.995 0.500
Mg: 0.667 0.333 0.748
Mg: 0.005 0.502 0.500
Mg: 0.000 0.500 0.000
Mg: 0.164 0.329 0.748
Mg: 0.164 0.836 0.748
Mg: 0.498 0.502 0.500
Mg: 0.164 0.329 0.252
Mg: 0.667 0.333 0.252
Mg: 0.000 0.000 0.000
Zr: 0.000 0.000 0.500

Summary:
ΔE_f, meV/atom: 18
Calculated volume, Å³ per cell: 364.32
Symmetry: P-6m2 (187)



Entry 3:
DFT (PBE-GGA) results for Mn7Si8Mo4 after structural relaxation.

Cell lengths 4.859, 12.823, 15.359 Å; angles 90.00, 90.00, 90.00 degrees
Sites, in units of the cell vectors:
Mo: 0.250 0.956 0.907
Mo: 0.750 0.134 0.542
Mo: 0.250 0.866 0.458
Mo: 0.250 0.067 0.196
Mo: 0.250 0.246 0.474
Mo: 0.250 0.746 0.026
Mo: 0.750 0.754 0.526
Mo: 0.750 0.933 0.804
Mo: 0.250 0.456 0.593
Mo: 0.750 0.544 0.407
Mo: 0.250 0.567 0.304
Mo: 0.750 0.254 0.974
Mo: 0.750 0.634 0.958
Mo: 0.750 0.433 0.696
Mo: 0.750 0.044 0.093
Mo: 0.250 0.366 0.042
Si: 0.250 0.496 0.752
Si: 0.502 0.783 0.879
Si: 0.498 0.217 0.121
Si: 0.750 0.948 0.482
Si: 0.250 0.996 0.748
Si: 0.002 0.717 0.379
Si: 0.750 0.088 0.698
Si: 0.250 0.052 0.518
Si: 0.250 0.912 0.302
Si: 0.750 0.448 0.018
Si: 0.750 0.004 0.252
Si: 0.750 0.292 0.806
Si: 0.750 0.588 0.802
Si: 0.750 0.504 0.248
Si: 0.250 0.445 0.434
Si: 0.250 0.552 0.982
Si: 0.750 0.555 0.566
Si: 0.750 0.726 0.102
Si: 0.250 0.774 0.602
Si: 0.750 0.055 0.934
Si: 0.750 0.792 0.694
Si: 0.502 0.283 0.621
Si: 0.250 0.208 0.306
Si: 0.250 0.945 0.066
Si: 0.002 0.217 0.121
Si: 0.998 0.283 0.621
Si: 0.250 0.274 0.898
Si: 0.250 0.412 0.198
Si: 0.998 0.783 0.879
Si: 0.498 0.717 0.379
Si: 0.250 0.708 0.194
Si: 0.750 0.226 0.398
Mn: 0.996 0.939 0.621
Mn: 0.496 0.561 0.121
Mn: 0.750 0.690 0.249
Mn: 0.250 0.127 0.997
Mn: 0.250 0.810 0.749
Mn: 0.496 0.061 0.379
Mn: 0.750 0.873 0.003
Mn: 0.750 0.190 0.251
Mn: 0.510 0.364 0.323
Mn: 0.010 0.636 0.677
Mn: 0.750 0.373 0.497
Mn: 0.250 0.627 0.503
Mn: 0.004 0.061 0.379
Mn: 0.490 0.636 0.677
Mn: 0.250 0.310 0.751
Mn: 0.750 0.865 0.345
Mn: 0.504 0.439 0.879
Mn: 0.510 0.864 0.177
Mn: 0.990 0.864 0.177
Mn: 0.490 0.136 0.823
Mn: 0.010 0.136 0.823
Mn: 0.004 0.561 0.121
Mn: 0.996 0.439 0.879
Mn: 0.250 0.135 0.655
Mn: 0.990 0.364 0.323
Mn: 0.504 0.939 0.621
Mn: 0.250 0.635 0.845
Mn: 0.750 0.365 0.155

Summary:
ΔE_f, meV/atom: -437
Calculated volume, Å³ per cell: 956.95
Symmetry: Pnma (62)



Entry 4:
DFT (PBE-GGA) results for Mn6Si8Mo5 after structural relaxation.

Cell lengths 4.860, 12.930, 15.460 Å; angles 90.00, 90.00, 90.00 degrees
Sites, in units of the cell vectors:
Mo: 0.250 0.632 0.543
Mo: 0.750 0.568 0.197
Mo: 0.750 0.868 0.043
Mo: 0.250 0.753 0.973
Mo: 0.250 0.546 0.094
Mo: 0.750 0.126 0.504
Mo: 0.750 0.068 0.303
Mo: 0.750 0.247 0.027
Mo: 0.250 0.874 0.496
Mo: 0.250 0.132 0.957
Mo: 0.250 0.432 0.803
Mo: 0.750 0.626 0.996
Mo: 0.750 0.454 0.906
Mo: 0.250 0.046 0.406
Mo: 0.250 0.253 0.527
Mo: 0.250 0.932 0.697
Mo: 0.750 0.747 0.473
Mo: 0.250 0.374 0.004
Mo: 0.750 0.954 0.594
Mo: 0.750 0.368 0.457
Si: 0.750 0.051 0.982
Si: 0.250 0.004 0.248
Si: 0.002 0.280 0.878
Si: 0.750 0.551 0.518
Si: 0.250 0.449 0.482
Si: 0.502 0.720 0.122
Si: 0.250 0.949 0.018
Si: 0.750 0.445 0.067
Si: 0.250 0.504 0.252
Si: 0.250 0.585 0.698
Si: 0.498 0.280 0.878
Si: 0.750 0.707 0.307
Si: 0.750 0.945 0.433
Si: 0.750 0.415 0.302
Si: 0.750 0.496 0.748
Si: 0.250 0.793 0.807
Si: 0.750 0.278 0.604
Si: 0.750 0.915 0.198
Si: 0.998 0.720 0.122
Si: 0.250 0.293 0.693
Si: 0.250 0.222 0.104
Si: 0.498 0.780 0.622
Si: 0.998 0.220 0.378
Si: 0.750 0.778 0.896
Si: 0.750 0.996 0.752
Si: 0.250 0.555 0.933
Si: 0.750 0.207 0.193
Si: 0.250 0.055 0.567
Si: 0.250 0.085 0.802
Si: 0.502 0.220 0.378
Si: 0.002 0.780 0.622
Si: 0.250 0.722 0.396
Mn: 0.491 0.863 0.322
Mn: 0.509 0.637 0.822
Mn: 0.004 0.940 0.879
Mn: 0.504 0.560 0.379
Mn: 0.996 0.060 0.121
Mn: 0.250 0.189 0.251
Mn: 0.009 0.863 0.322
Mn: 0.509 0.137 0.678
Mn: 0.250 0.867 0.156
Mn: 0.496 0.940 0.879
Mn: 0.996 0.560 0.379
Mn: 0.504 0.060 0.121
Mn: 0.491 0.363 0.178
Mn: 0.750 0.133 0.844
Mn: 0.750 0.633 0.656
Mn: 0.750 0.811 0.749
Mn: 0.991 0.137 0.678
Mn: 0.991 0.637 0.822
Mn: 0.004 0.440 0.621
Mn: 0.496 0.440 0.621
Mn: 0.250 0.689 0.249
Mn: 0.750 0.311 0.751
Mn: 0.009 0.363 0.178
Mn: 0.250 0.367 0.344

Summary:
ΔE_f, meV/atom: -443
Calculated volume, Å³ per cell: 971.56
Symmetry: Pnma (62)